MgV3O7 | GGA+U | relaxed

Unit cell a=10.2309 b=10.2343 c=5.3329 alpha=90.00 beta=90.00 gamma=90.00
Space group Pnma (No. 62)
Inequivalent atoms, fractional coordinates:
Mg 0.0781 0.2500 0.1547 (multiplicity 4)
V 0.1828 0.5273 0.7028 (multiplicity 8)
V 0.2177 0.7500 0.1919 (multiplicity 4)
O 0.0357 0.5957 0.7214 (multiplicity 8)
O 0.0556 0.7500 0.1663 (multiplicity 4)
O 0.2121 0.1209 0.9428 (multiplicity 8)
O 0.2127 0.1184 0.4588 (multiplicity 8)

Results
- corrected total energy (MP2020 scheme) (eV per atom) = -8.338


TiFe3Cu2P6O24 | GGA+U | relaxed

Unit cell a=8.6218 b=8.6218 c=20.8394 alpha=90.00 beta=90.00 gamma=120.00
Space group R3 (No. 146, hexagonal axes)
Inequivalent atoms, fractional coordinates:
Ti 0.0000 0.0000 0.0000 (multiplicity 3)
Fe 0.0000 0.0000 0.2882 (multiplicity 3)
Fe 0.0000 0.0000 0.4999 (multiplicity 3)
Fe 0.0000 0.0000 0.7878 (multiplicity 3)
Cu 0.0000 0.0000 0.1445 (multiplicity 3)
Cu 0.0000 0.0000 0.6443 (multiplicity 3)
P 0.9998 0.2948 0.8933 (multiplicity 9)
P 0.0008 0.7066 0.3937 (multiplicity 9)
O 0.0023 0.8042 0.4547 (multiplicity 9)
O 0.0064 0.1918 0.9534 (multiplicity 9)
O 0.0164 0.8355 0.0659 (multiplicity 9)
O 0.0225 0.1848 0.5688 (multiplicity 9)
O 0.1388 0.4675 0.4994 (multiplicity 9)
O 0.1391 0.6707 0.9995 (multiplicity 9)
O 0.1680 0.4844 0.8874 (multiplicity 9)
O 0.1688 0.6835 0.3868 (multiplicity 9)

Results
- corrected total energy (MP2020 scheme) (eV per atom) = -7.665


Li3V2P4H2O16 | GGA+U | relaxed

Unit cell a=7.8839 b=8.0784 c=9.7500 alpha=90.00 beta=112.06 gamma=90.00
Space group P2_1 (No. 4)
Inequivalent atoms, fractional coordinates:
Li 0.0929 0.0000 0.2224 (multiplicity 2)
Li 0.3990 0.2647 0.7731 (multiplicity 2)
Li 0.4063 0.2652 0.2694 (multiplicity 2)
V 0.2376 0.6294 0.2489 (multiplicity 2)
V 0.2457 0.6370 0.7472 (multiplicity 2)
P 0.0181 0.2821 0.5689 (multiplicity 2)
P 0.0206 0.2850 0.0673 (multiplicity 2)
P 0.4855 0.9756 0.4347 (multiplicity 2)
P 0.4901 0.9815 0.9321 (multiplicity 2)
H 0.2558 0.1221 0.4944 (multiplicity 2)
H 0.2671 0.1231 0.9859 (multiplicity 2)
O 0.0577 0.4485 0.6518 (multiplicity 2)
O 0.0680 0.4606 0.1339 (multiplicity 2)
O 0.0880 0.6837 0.8590 (multiplicity 2)
O 0.1003 0.6795 0.3570 (multiplicity 2)
O 0.1016 0.8043 0.1012 (multiplicity 2)
O 0.1070 0.7998 0.5944 (multiplicity 2)
O 0.1981 0.1877 0.0954 (multiplicity 2)
O 0.1979 0.1932 0.5927 (multiplicity 2)
O 0.3018 0.0700 0.4086 (multiplicity 2)
O 0.3129 0.0855 0.9028 (multiplicity 2)
O 0.3972 0.4549 0.3981 (multiplicity 2)
O 0.3968 0.4613 0.9009 (multiplicity 2)
O 0.4009 0.5877 0.1422 (multiplicity 2)
O 0.4131 0.5848 0.6393 (multiplicity 2)
O 0.4349 0.8079 0.3537 (multiplicity 2)
O 0.4419 0.8151 0.8527 (multiplicity 2)

Results
- corrected total energy (MP2020 scheme) (eV per atom) = -7.405


The evaluated E_form for the records listed, in turn: -28.229; -83.221; -68.422 eV per formula unit.
The evaluated total energy for the records listed, in turn: -7.437; -7.019; -6.872 eV per atom.